Crystalline LiLaTi4O12 at its relaxed geometry, computed with PBE.

Cell lengths 7.907, 5.386, 5.386 Å; angles 90.56, 90.00, 90.00 degrees
Sites, in units of the cell vectors:
Li (0.000, 0.000, 0.000)
La (0.500, 0.544, 0.544)
Ti (0.227, 0.030, 0.511)
Ti (0.227, 0.511, 0.030)
Ti (0.773, 0.030, 0.511)
Ti (0.773, 0.511, 0.030)
O (0.000, 0.598, 0.992)
O (0.000, 0.992, 0.598)
O (0.198, 0.220, 0.220)
O (0.261, 0.310, 0.729)
O (0.261, 0.729, 0.310)
O (0.291, 0.790, 0.790)
O (0.500, 0.056, 0.486)
O (0.500, 0.486, 0.056)
O (0.709, 0.790, 0.790)
O (0.739, 0.310, 0.729)
O (0.739, 0.729, 0.310)
O (0.802, 0.220, 0.220)

Results
DFT total energy	-142.015	eV per cell
crystal system	orthorhombic
SG	Amm2 (38)

Crystalline SiPd2 at its relaxed geometry, computed with PBE.

Cell lengths 6.543, 6.543, 3.518 Å; angles 90.00, 90.00, 120.00 degrees
Sites, in units of the cell vectors:
Si (0.000, 0.000, 0.000)
Si (0.333, 0.667, 0.500)
Si (0.667, 0.333, 0.500)
Pd (0.000, 0.265, 0.500)
Pd (0.000, 0.606, 0.000)
Pd (0.265, 0.000, 0.500)
Pd (0.394, 0.394, 0.000)
Pd (0.606, 0.000, 0.000)
Pd (0.735, 0.735, 0.500)

Results
DFT total energy	-53.562	eV per cell
crystal system	hexagonal
SG	P-62m (189)

Crystalline Hf5FeSb2 at its relaxed geometry, computed with PBE.

Cell lengths 8.197, 8.197, 8.197 Å; angles 96.67, 96.67, 140.15 degrees
Sites, in units of the cell vectors:
Hf (0.070, 0.800, 0.871)
Hf (0.200, 0.070, 0.270)
Hf (0.250, 0.750, 0.500)
Hf (0.300, 0.570, 0.871)
Hf (0.430, 0.300, 0.730)
Hf (0.570, 0.700, 0.270)
Hf (0.700, 0.430, 0.129)
Hf (0.750, 0.250, 0.500)
Hf (0.800, 0.930, 0.730)
Hf (0.930, 0.200, 0.129)
Fe (0.250, 0.250, 0.000)
Fe (0.750, 0.750, 0.000)
Sb (0.164, 0.336, 0.500)
Sb (0.336, 0.836, 0.172)
Sb (0.664, 0.164, 0.828)
Sb (0.836, 0.664, 0.500)

Results
DFT total energy	-139.879	eV per cell
crystal system	tetragonal
SG	I4/mcm (140)

Crystalline CaPr2Ti2ZnO9 at its relaxed geometry, computed with PBE.

Cell lengths 5.501, 5.725, 23.416 Å; angles 89.95, 89.85, 89.70 degrees
Sites, in units of the cell vectors:
Ca (0.000, 0.000, 0.000)
Ca (0.001, 0.000, 0.331)
Ca (0.498, 0.611, 0.506)
Ca (0.502, 0.609, 0.175)
Pr (0.010, 0.993, 0.669)
Pr (0.476, 0.491, 0.667)
Pr (0.477, 0.482, 0.333)
Pr (0.480, 0.483, 0.002)
Pr (0.511, 0.608, 0.838)
Pr (0.977, 0.110, 0.503)
Pr (0.977, 0.111, 0.173)
Pr (0.979, 0.108, 0.838)
Ti (0.001, 0.553, 0.920)
Ti (0.463, 0.032, 0.085)
Ti (0.463, 0.032, 0.416)
Ti (0.495, 0.051, 0.753)
Ti (0.967, 0.563, 0.421)
Ti (0.967, 0.564, 0.089)
Ti (0.984, 0.554, 0.585)
Ti (0.994, 0.558, 0.253)
Zn (0.490, 0.041, 0.253)
Zn (0.491, 0.046, 0.584)
Zn (0.492, 0.045, 0.923)
Zn (0.994, 0.550, 0.753)
O (0.085, 0.524, 0.840)
O (0.085, 0.528, 0.499)
O (0.085, 0.529, 0.168)
O (0.183, 0.263, 0.600)
O (0.186, 0.265, 0.938)
O (0.187, 0.265, 0.268)
O (0.202, 0.249, 0.072)
O (0.202, 0.249, 0.403)
O (0.206, 0.245, 0.737)
O (0.281, 0.742, 0.600)
O (0.287, 0.737, 0.266)
O (0.288, 0.738, 0.935)
O (0.289, 0.756, 0.070)
O (0.289, 0.756, 0.402)
O (0.304, 0.763, 0.736)
O (0.402, 0.023, 0.834)
O (0.407, 0.022, 0.497)
O (0.409, 0.023, 0.165)
O (0.586, 0.079, 0.672)
O (0.590, 0.074, 0.341)
O (0.591, 0.074, 0.009)
O (0.688, 0.336, 0.770)
O (0.706, 0.359, 0.907)
O (0.707, 0.362, 0.568)
O (0.708, 0.357, 0.434)
O (0.709, 0.357, 0.103)
O (0.711, 0.362, 0.238)
O (0.786, 0.857, 0.769)
O (0.792, 0.839, 0.435)
O (0.792, 0.840, 0.104)
O (0.803, 0.836, 0.905)
O (0.807, 0.842, 0.570)
O (0.808, 0.840, 0.239)
O (0.901, 0.577, 0.665)
O (0.910, 0.581, 0.006)
O (0.911, 0.578, 0.337)

Results
DFT total energy	-472.076	eV per cell
crystal system	triclinic
SG	P1 (1)

Crystalline CeEr3 at its relaxed geometry, computed with PBE.

Cell lengths 4.960, 4.960, 4.960 Å; angles 90.00, 90.00, 90.00 degrees
Sites, in units of the cell vectors:
Ce (0.000, 0.000, 0.000)
Er (0.000, 0.500, 0.500)
Er (0.500, 0.000, 0.500)
Er (0.500, 0.500, 0.000)

Results
DFT total energy	-19.371	eV per cell
crystal system	cubic
energy above the lowest structure with this stoichiometry	2	meV/atom
SG	Pm-3m (221)

Crystalline MgSn2O4 at its relaxed geometry, computed with PBE.

Cell lengths 6.398, 6.398, 17.080 Å; angles 91.12, 91.12, 59.78 degrees
Sites, in units of the cell vectors:
Mg (0.000, 0.000, 0.000)
Mg (0.167, 0.167, 0.836)
Mg (0.335, 0.335, 0.670)
Mg (0.493, 0.493, 0.121)
Mg (0.503, 0.503, 0.506)
Mg (0.673, 0.673, 0.344)
Sn (0.000, 0.493, 0.003)
Sn (0.168, 0.168, 0.462)
Sn (0.177, 0.669, 0.341)
Sn (0.178, 0.178, 0.220)
Sn (0.334, 0.834, 0.671)
Sn (0.493, 0.000, 0.003)
Sn (0.502, 0.502, 0.877)
Sn (0.669, 0.177, 0.341)
Sn (0.830, 0.830, 0.797)
Sn (0.834, 0.334, 0.671)
Sn (0.837, 0.837, 0.164)
Sn (0.838, 0.838, 0.544)
O (0.001, 0.001, 0.278)
O (0.003, 0.510, 0.284)
O (0.010, 0.464, 0.746)
O (0.019, 0.019, 0.743)
O (0.151, 0.660, 0.076)
O (0.163, 0.163, 0.060)
O (0.165, 0.165, 0.612)
O (0.206, 0.659, 0.596)
O (0.312, 0.312, 0.930)
O (0.322, 0.872, 0.925)
O (0.357, 0.791, 0.415)
O (0.363, 0.363, 0.415)
O (0.464, 0.010, 0.746)
O (0.494, 0.494, 0.265)
O (0.503, 0.503, 0.729)
O (0.510, 0.003, 0.284)
O (0.648, 0.648, 0.599)
O (0.659, 0.206, 0.596)
O (0.660, 0.151, 0.076)
O (0.666, 0.666, 0.073)
O (0.791, 0.357, 0.415)
O (0.828, 0.828, 0.951)
O (0.848, 0.848, 0.400)
O (0.872, 0.322, 0.925)

Results
DFT total energy	-249.440	eV per cell
crystal system	monoclinic
energy above the lowest structure with this stoichiometry	14	meV/atom
SG	Cm (8)

Calculated ΔE_f in order - -2.914; -0.690; -0.476; -3.403; 0.066; -2.130 eV per atom